No. 1
# AlZnRh2

Crystalline AlZnRh2 at its relaxed geometry (r2SCAN, the Materials Project database).

Output
DFT formation energy (eV per formula unit): -3.4
E (eV per atom): -16.8363

```
AlZnRh2
1.0
0.000 2.981 2.981
2.981 0.000 2.981
2.981 2.981 0.000
Al Zn Rh
1 1 2
direct
0.000 0.000 0.000
0.500 0.500 0.500
0.250 0.250 0.250
0.750 0.750 0.750
```

---

No. 2
# ZrAlRh2

Crystalline ZrAlRh2 at its relaxed geometry (r2SCAN, the Materials Project database).

Output
DFT formation energy (eV per formula unit): -4.1
E (eV per atom): -20.4706

```
ZrAlRh2
1.0
0.000 3.149 3.149
3.149 0.000 3.149
3.149 3.149 0.000
Zr Al Rh
1 1 2
direct
0.000 0.000 0.000
0.500 0.500 0.500
0.250 0.250 0.250
0.750 0.750 0.750
```

---

No. 3
# AlRu

Crystalline AlRu at its relaxed geometry (r2SCAN, the Materials Project database).

Output
DFT formation energy (eV per formula unit): -1.5
E (eV per atom): -16.8067

```
AlRu
1.0
2.982 0.000 0.000
0.000 2.982 0.000
0.000 0.000 2.982
Al Ru
1 1
direct
0.000 0.000 0.000
0.500 0.500 0.500
```

---

No. 4
# SmAl10Ru2

Crystalline SmAl10Ru2 at its relaxed geometry (r2SCAN, the Materials Project database).

Output
DFT formation energy (eV per formula unit): -7.4
E (eV per atom): -11.9492

```
SmAl10Ru2
1.0
4.523 -5.116 0.000
4.523 5.116 0.000
0.000 0.000 9.111
Sm Al Ru
2 20 4
direct
0.125 0.875 0.750
0.875 0.125 0.250
0.139 0.410 0.750
0.160 0.840 0.101
0.160 0.840 0.399
0.220 0.482 0.250
0.228 0.228 0.000
0.228 0.228 0.500
0.377 0.623 0.550
0.377 0.623 0.950
0.410 0.139 0.250
0.482 0.220 0.750
0.518 0.780 0.250
0.590 0.861 0.750
0.623 0.377 0.050
0.623 0.377 0.450
0.772 0.772 0.000
0.772 0.772 0.500
0.780 0.518 0.750
0.840 0.160 0.601
0.840 0.160 0.899
0.861 0.590 0.250
0.000 0.500 0.000
0.000 0.500 0.500
0.500 0.000 0.000
0.500 0.000 0.500
```

---

No. 5
# Sm3Al12Ru4

Crystalline Sm3Al12Ru4 at its relaxed geometry (r2SCAN, the Materials Project database).

Output
DFT formation energy (eV per formula unit): -13.6
E (eV per atom): -15.0137

```
Sm3Al12Ru4
1.0
8.816 0.000 0.000
-4.408 7.635 0.000
0.000 0.000 9.592
Sm Al Ru
6 24 8
direct
0.193 0.386 0.250
0.193 0.807 0.250
0.386 0.193 0.750
0.614 0.807 0.250
0.807 0.193 0.750
0.807 0.614 0.750
0.000 0.000 0.250
0.000 0.000 0.750
0.124 0.562 0.750
0.163 0.325 0.576
0.163 0.325 0.924
0.163 0.837 0.576
0.163 0.837 0.924
0.325 0.163 0.076
0.325 0.163 0.424
0.333 0.667 0.006
0.333 0.667 0.494
0.438 0.562 0.750
0.438 0.876 0.750
0.562 0.124 0.250
0.562 0.438 0.250
0.667 0.333 0.506
0.667 0.333 0.994
0.675 0.837 0.576
0.675 0.837 0.924
0.837 0.163 0.076
0.837 0.163 0.424
0.837 0.675 0.076
0.837 0.675 0.424
0.876 0.438 0.250
0.000 0.000 0.000
0.000 0.000 0.500
0.000 0.500 0.000
0.000 0.500 0.500
0.500 0.000 0.000
0.500 0.000 0.500
0.500 0.500 0.000
0.500 0.500 0.500
```

---

No. 6
# Tm2AlRu

Crystalline Tm2AlRu at its relaxed geometry (r2SCAN, the Materials Project database).

Output
DFT formation energy (eV per formula unit): -1.8
E (eV per atom): -26.0592

```
Tm2AlRu
1.0
0.000 3.438 3.438
3.438 0.000 3.438
3.438 3.438 0.000
Tm Al Ru
2 1 1
direct
0.250 0.250 0.250
0.750 0.750 0.750
0.000 0.000 0.000
0.500 0.500 0.500
```

---

No. 7
# Tm3Al12Ru4

Crystalline Tm3Al12Ru4 at its relaxed geometry (r2SCAN, the Materials Project database).

Output
DFT formation energy (eV per formula unit): -13.7
E (eV per atom): -15.8723

```
Tm3Al12Ru4
1.0
8.728 0.000 0.000
-4.364 7.558 0.000
0.000 0.000 9.442
Tm Al Ru
6 24 8
direct
0.194 0.387 0.250
0.194 0.806 0.250
0.387 0.194 0.750
0.613 0.806 0.250
0.806 0.194 0.750
0.806 0.613 0.750
0.000 0.000 0.250
0.000 0.000 0.750
0.121 0.561 0.750
0.162 0.324 0.577
0.162 0.324 0.923
0.162 0.838 0.577
0.162 0.838 0.923
0.324 0.162 0.077
0.324 0.162 0.423
0.333 0.667 0.011
0.333 0.667 0.489
0.439 0.561 0.750
0.439 0.879 0.750
0.561 0.121 0.250
0.561 0.439 0.250
0.667 0.333 0.511
0.667 0.333 0.989
0.676 0.838 0.577
0.676 0.838 0.923
0.838 0.162 0.077
0.838 0.162 0.423
0.838 0.676 0.077
0.838 0.676 0.423
0.879 0.439 0.250
0.000 0.000 0.000
0.000 0.000 0.500
0.000 0.500 0.000
0.000 0.500 0.500
0.500 0.000 0.000
0.500 0.000 0.500
0.500 0.500 0.000
0.500 0.500 0.500
```

---

No. 8
# UAl10Ru2

Crystalline UAl10Ru2 at its relaxed geometry (r2SCAN, the Materials Project database).

Output
DFT formation energy (eV per formula unit): -6.6
E (eV per atom): -15.7453

```
UAl10Ru2
1.0
4.495 -5.128 0.000
4.495 5.128 0.000
0.000 0.000 9.066
U Al Ru
2 20 4
direct
0.121 0.879 0.750
0.879 0.121 0.250
0.139 0.408 0.750
0.158 0.842 0.101
0.158 0.842 0.399
0.219 0.480 0.250
0.225 0.225 0.000
0.225 0.225 0.500
0.377 0.623 0.551
0.377 0.623 0.949
0.408 0.139 0.250
0.480 0.219 0.750
0.520 0.781 0.250
0.592 0.861 0.750
0.623 0.377 0.051
0.623 0.377 0.449
0.775 0.775 0.000
0.775 0.775 0.500
0.781 0.520 0.750
0.842 0.158 0.601
0.842 0.158 0.899
0.861 0.592 0.250
0.000 0.500 0.000
0.000 0.500 0.500
0.500 0.000 0.000
0.500 0.000 0.500
```

---

No. 9
# YAl10Ru2

Crystalline YAl10Ru2 at its relaxed geometry (r2SCAN, the Materials Project database).

Output
DFT formation energy (eV per formula unit): -7.4
E (eV per atom): -11.2210

```
YAl10Ru2
1.0
4.511 -5.100 0.000
4.511 5.100 0.000
0.000 0.000 9.075
Y Al Ru
2 20 4
direct
0.127 0.873 0.750
0.873 0.127 0.250
0.140 0.411 0.750
0.158 0.842 0.101
0.158 0.842 0.399
0.219 0.481 0.250
0.227 0.227 0.000
0.227 0.227 0.500
0.377 0.623 0.550
0.377 0.623 0.950
0.411 0.140 0.250
0.481 0.219 0.750
0.519 0.781 0.250
0.589 0.860 0.750
0.623 0.377 0.050
0.623 0.377 0.450
0.773 0.773 0.000
0.773 0.773 0.500
0.781 0.519 0.750
0.842 0.158 0.601
0.842 0.158 0.899
0.860 0.589 0.250
0.000 0.500 0.000
0.000 0.500 0.500
0.500 0.000 0.000
0.500 0.000 0.500
```

---

No. 10
# Zr6Al16Ru7

Crystalline Zr6Al16Ru7 at its relaxed geometry (r2SCAN, the Materials Project database).

Output
DFT formation energy (eV per formula unit): -20.7
E (eV per atom): -15.2713

```
Zr6Al16Ru7
1.0
0.000 6.146 6.146
6.146 0.000 6.146
6.146 6.146 0.000
Zr Al Ru
6 16 7
direct
0.207 0.207 0.793
0.207 0.793 0.207
0.207 0.793 0.793
0.793 0.207 0.207
0.793 0.207 0.793
0.793 0.793 0.207
0.142 0.619 0.619
0.165 0.165 0.165
0.165 0.165 0.506
0.165 0.506 0.165
0.381 0.381 0.381
0.381 0.381 0.858
0.381 0.858 0.381
0.494 0.835 0.835
0.506 0.165 0.165
0.619 0.142 0.619
0.619 0.619 0.142
0.619 0.619 0.619
0.835 0.494 0.835
0.835 0.835 0.494
0.835 0.835 0.835
0.858 0.381 0.381
0.000 0.000 0.500
0.000 0.500 0.000
0.000 0.500 0.500
0.500 0.000 0.000
0.500 0.000 0.500
0.500 0.500 0.000
0.500 0.500 0.500
```